Arrangement P

## Li2Fe2Si3O9 (PBE+U)

Data for an optimized crystal structure of Li2Fe2Si3O9.

Structure (CIF):
```
data_Li2Fe2Si3O9
_space_group_name_H-M_alt 'P 1'
_space_group_IT_number 1
_space_group_name_Hall 'P 1'
_cell_length_a 10.6577
_cell_length_b 7.3245
_cell_length_c 12.3933
_cell_angle_alpha 90.00
_cell_angle_beta 111.53
_cell_angle_gamma 90.00
loop_
_atom_site_label
_atom_site_type_symbol
_atom_site_fract_x
_atom_site_fract_y
_atom_site_fract_z
Li1 Li 0.0357 0.0751 0.3446
Li2 Li 0.0357 0.4249 0.8446
Li3 Li 0.4533 0.5405 0.8650
Li4 Li 0.4533 0.9595 0.3650
Li5 Li 0.5467 0.0405 0.6350
Li6 Li 0.5467 0.4595 0.1350
Li7 Li 0.9643 0.5751 0.1554
Li8 Li 0.9643 0.9249 0.6554
Fe1 Fe 0.0693 0.6365 0.4385
Fe2 Fe 0.0693 0.8635 0.9385
Fe3 Fe 0.4403 0.6033 0.5767
Fe4 Fe 0.4403 0.8967 0.0767
Fe5 Fe 0.5597 0.1033 0.9233
Fe6 Fe 0.5597 0.3967 0.4233
Fe7 Fe 0.9308 0.1365 0.0615
Fe8 Fe 0.9308 0.3635 0.5615
Si1 Si 0.2418 0.0254 0.7947
Si2 Si 0.2418 0.4746 0.2947
Si3 Si 0.2608 0.1561 0.1465
Si4 Si 0.2608 0.3439 0.6465
Si5 Si 0.2689 0.5429 0.0631
Si6 Si 0.2689 0.9571 0.5631
Si7 Si 0.7311 0.0429 0.4369
Si8 Si 0.7311 0.4571 0.9369
Si9 Si 0.7392 0.6561 0.3535
Si10 Si 0.7392 0.8439 0.8535
Si11 Si 0.7582 0.5254 0.7053
Si12 Si 0.7582 0.9746 0.2053
O1 O 0.0978 0.5273 0.3033
O2 O 0.0978 0.9727 0.8033
O3 O 0.1191 0.0671 0.0615
O4 O 0.1191 0.4329 0.5615
O5 O 0.1266 0.5980 0.9603
O6 O 0.1266 0.9020 0.4603
O7 O 0.2344 0.2447 0.7569
O8 O 0.2344 0.2553 0.2569
O9 O 0.2558 0.5978 0.1878
O10 O 0.2558 0.9022 0.6878
O11 O 0.3019 0.1793 0.5727
O12 O 0.3019 0.3207 0.0727
O13 O 0.3756 0.5054 0.4101
O14 O 0.3756 0.9946 0.9101
O15 O 0.3852 0.0138 0.1981
O16 O 0.3852 0.4862 0.6981
O17 O 0.4014 0.6309 0.0463
O18 O 0.4014 0.8691 0.5463
O19 O 0.5986 0.1309 0.4537
O20 O 0.5986 0.3691 0.9537
O21 O 0.6148 0.5138 0.3019
O22 O 0.6148 0.9862 0.8019
O23 O 0.6244 0.0054 0.0899
O24 O 0.6244 0.4946 0.5899
O25 O 0.6981 0.6793 0.9273
O26 O 0.6981 0.8207 0.4273
O27 O 0.7442 0.0978 0.3122
O28 O 0.7442 0.4022 0.8122
O29 O 0.7656 0.7447 0.7431
O30 O 0.7656 0.7553 0.2431
O31 O 0.8734 0.0980 0.5397
O32 O 0.8734 0.4020 0.0397
O33 O 0.8809 0.5671 0.4385
O34 O 0.8809 0.9329 0.9385
O35 O 0.9022 0.0273 0.1967
O36 O 0.9022 0.4727 0.6967
```

symmetry: P2_1/c

***

Arrangement Q

## Li2Fe2Si3O9 (PBE+U)

Data for an optimized crystal structure of Li2Fe2Si3O9.

Structure (CIF):
```
data_Li2Fe2Si3O9
_space_group_name_H-M_alt 'P 1'
_space_group_IT_number 1
_space_group_name_Hall 'P 1'
_cell_length_a 10.1761
_cell_length_b 10.1768
_cell_length_c 12.2475
_cell_angle_alpha 90.00
_cell_angle_beta 89.99
_cell_angle_gamma 60.00
loop_
_atom_site_label
_atom_site_type_symbol
_atom_site_fract_x
_atom_site_fract_y
_atom_site_fract_z
Li1 Li 0.0000 0.0000 0.0000
Li2 Li 0.0150 0.9627 0.4965
Li3 Li 0.1200 0.7130 0.6126
Li4 Li 0.1393 0.1613 0.8296
Li5 Li 0.1774 0.1390 0.3337
Li6 Li 0.3157 0.8234 0.6666
Li7 Li 0.3379 0.8386 0.1631
Li8 Li 0.3656 0.5503 0.5066
Li9 Li 0.3998 0.1892 0.1734
Li10 Li 0.4828 0.9434 0.2792
Li11 Li 0.7266 0.2234 0.8400
Li12 Li 0.8897 0.3060 0.9458
Fe1 Fe 0.1297 0.6563 0.8295
Fe2 Fe 0.1525 0.6633 0.0742
Fe3 Fe 0.3191 0.3205 0.6523
Fe4 Fe 0.4971 0.4995 0.9856
Fe5 Fe 0.4999 0.9760 0.7409
Fe6 Fe 0.5297 0.9532 0.4962
Fe7 Fe 0.6731 0.6437 0.3305
Fe8 Fe 0.6760 0.1428 0.3189
Fe9 Fe 0.8204 0.8225 0.6640
Fe10 Fe 0.8329 0.3531 0.1628
Fe11 Fe 0.8400 0.3234 0.4076
Fe12 Fe 0.9990 0.4962 0.9973
Si1 Si 0.0443 0.4904 0.2710
Si2 Si 0.1470 0.1711 0.5885
Si3 Si 0.2118 0.1183 0.0773
Si4 Si 0.2947 0.8093 0.4106
Si5 Si 0.3413 0.2852 0.9260
Si6 Si 0.3475 0.8211 0.9219
Si7 Si 0.3537 0.3068 0.3824
Si8 Si 0.4618 0.5128 0.2593
Si9 Si 0.4832 0.4788 0.7156
Si10 Si 0.6420 0.7099 0.0680
Si11 Si 0.6553 0.1771 0.0490
Si12 Si 0.6669 0.6045 0.6043
Si13 Si 0.6892 0.1648 0.5927
Si14 Si 0.7811 0.8676 0.9377
Si15 Si 0.8864 0.7872 0.4013
Si16 Si 0.9637 0.4655 0.7346
Si17 Si 0.9856 0.0352 0.7439
Si18 Si 0.9975 0.9706 0.2552
O1 O 0.0214 0.6233 0.3571
O2 O 0.0348 0.2407 0.0646
O3 O 0.0403 0.8581 0.7314
O4 O 0.0644 0.1868 0.4733
O5 O 0.0645 0.8879 0.1400
O6 O 0.0709 0.5363 0.1488
O7 O 0.0946 0.3377 0.6489
O8 O 0.1044 0.0728 0.6755
O9 O 0.1379 0.9279 0.3426
O10 O 0.2040 0.3343 0.3100
O11 O 0.2142 0.4626 0.9388
O12 O 0.2381 0.7911 0.5301
O13 O 0.2496 0.9617 0.0092
O14 O 0.2687 0.7142 0.9281
O15 O 0.2864 0.0617 0.1968
O16 O 0.3010 0.5415 0.7081
O17 O 0.3106 0.3942 0.4969
O18 O 0.3149 0.1846 0.0205
O19 O 0.3328 0.0923 0.5948
O20 O 0.3582 0.2103 0.8051
O21 O 0.3615 0.6401 0.3536
O22 O 0.3632 0.8881 0.8067
O23 O 0.3869 0.5706 0.1383
O24 O 0.4166 0.8646 0.3982
O25 O 0.4454 0.3679 0.3029
O26 O 0.4733 0.1245 0.3747
O27 O 0.5028 0.2688 0.9693
O28 O 0.5108 0.6009 0.6433
O29 O 0.5142 0.7068 0.9822
O30 O 0.5442 0.3261 0.6361
O31 O 0.5626 0.7590 0.1877
O32 O 0.5707 0.4344 0.8302
O33 O 0.6107 0.1343 0.1636
O34 O 0.6265 0.7805 0.6190
O35 O 0.6387 0.0378 0.6056
O36 O 0.6392 0.4623 0.2721
O37 O 0.6710 0.8448 0.0237
O38 O 0.7086 0.8944 0.8155
O39 O 0.7128 0.5320 0.4821
O40 O 0.7182 0.2966 0.0413
O41 O 0.7187 0.8068 0.3932
O42 O 0.7472 0.1816 0.4718
O43 O 0.7776 0.0272 0.9768
O44 O 0.7902 0.5421 0.0599
O45 O 0.7997 0.4944 0.6904
O46 O 0.8163 0.1382 0.6872
O47 O 0.8832 0.9181 0.3155
O48 O 0.8905 0.1563 0.2614
O49 O 0.9087 0.4499 0.2856
O50 O 0.9355 0.8177 0.5210
O51 O 0.9570 0.7322 0.9523
O52 O 0.9680 0.1097 0.8634
O53 O 0.9833 0.6137 0.7265
O54 O 0.9942 0.3860 0.8543
```

symmetry: P1

***

The most stable of them is arrangement Q.